## LiFe5P3O13 (PBE with a Hubbard U)

Data for an optimized crystal structure of LiFe5P3O13.

Properties
MP2020-corrected energy: -173.8 eV per formula unit
calculated volume: 529.6 Å³ per cell

Lattice parameters (Å, degrees): 6.384 8.554 9.728 85.76 88.66 89.89
Space group P-1 (No. 2)
One atom of each set of equivalent atoms:
Li1 0.239 0.407 0.054
Fe1 0.001 0.128 0.724
Fe2 0.251 0.575 0.399
Fe3 0.252 0.848 0.597
Fe4 0.256 0.786 0.935
Fe5 0.493 0.872 0.277
P1 0.248 0.108 0.020
P2 0.251 0.176 0.404
P3 0.254 0.472 0.746
O1 0.051 0.106 0.344
O2 0.053 0.370 0.743
O3 0.056 0.213 0.043
O4 0.240 0.804 0.398
O5 0.248 0.353 0.373
O6 0.249 0.951 0.112
O7 0.251 0.051 0.867
O8 0.252 0.555 0.885
O9 0.257 0.125 0.562
O10 0.257 0.598 0.623
O11 0.434 0.217 0.039
O12 0.452 0.109 0.336
O13 0.455 0.370 0.738